HoMgNi2O6 after structural relaxation. Source: the Materials Project database, functional PBE with a Hubbard U.

abc: 5.100 5.420 7.349
angles: 90.00 90.00 90.00
Positions (direct):
O: 0.313 0.440 0.808
O: 0.865 0.281 0.000
O: 0.107 0.194 0.500
O: 0.206 0.961 0.183
O: 0.813 0.560 0.308
O: 0.813 0.560 0.692
O: 0.706 0.039 0.683
O: 0.706 0.039 0.317
O: 0.206 0.961 0.817
O: 0.313 0.440 0.192
O: 0.607 0.806 0.000
O: 0.365 0.719 0.500
Mg: 0.472 0.178 0.000
Mg: 0.972 0.822 0.500
Ho: 0.020 0.673 0.000
Ho: 0.520 0.327 0.500
Ni: 0.498 0.755 0.750
Ni: 0.998 0.245 0.250
Ni: 0.498 0.755 0.250
Ni: 0.998 0.245 0.750

Space-group type: Pmn2_1 (31)
Raw total energy, eV per atom: -5.854
Energy of formation from the pure elements, eV per formula unit: -20.316
Magnetic moment, μB per atom: 0.101
Crystal system: orthorhombic

***

NaCr2O4 after structural relaxation. Source: the Materials Project database, functional PBE with a Hubbard U.

abc: 6.131 6.131 6.131
angles: 60.00 60.00 60.00
Positions (direct):
Na: 0.500 0.500 0.500
Na: 0.750 0.750 0.750
Cr: 0.125 0.125 0.125
Cr: 0.125 0.625 0.125
Cr: 0.125 0.125 0.625
Cr: 0.625 0.125 0.125
O: 0.896 0.896 0.313
O: 0.354 0.354 0.354
O: 0.313 0.896 0.896
O: 0.937 0.354 0.354
O: 0.896 0.896 0.896
O: 0.354 0.937 0.354
O: 0.896 0.313 0.896
O: 0.354 0.354 0.937

Space-group type: Fd-3m (227)
Raw total energy, eV per atom: -6.940
Energy of formation from the pure elements, eV per formula unit: -14.904
Energy relative to the lowest polymorph listed for this composition, eV per atom: 0.054
Magnetic moment, μB per atom: 0.714
Crystal system: cubic

***

MgFe6O6F6 after structural relaxation. Source: the Materials Project database, functional PBE with a Hubbard U.

abc: 5.127 14.426 3.041
angles: 89.99 89.99 93.99
Positions (direct):
Fe: 0.372 0.526 0.496
Fe: 0.419 0.832 0.494
Fe: 0.063 0.321 0.994
Fe: 0.957 0.674 0.994
Fe: 0.008 0.989 0.994
Fe: 0.603 0.149 0.495
F: 0.758 0.746 0.494
F: 0.257 0.244 0.495
F: 0.663 0.900 0.994
F: 0.378 0.092 0.995
F: 0.610 0.591 0.996
F: 0.899 0.402 0.494
O: 0.261 0.768 0.994
O: 0.387 0.412 0.994
O: 0.078 0.606 0.494
O: 0.860 0.064 0.495
O: 0.181 0.933 0.494
O: 0.707 0.242 0.994
Mg: 0.553 0.344 0.494

Space-group type: P1 (1)
Raw total energy, eV per atom: -5.966
Energy of formation from the pure elements, eV per formula unit: -40.186
Energy relative to the lowest polymorph listed for this composition, eV per atom: 0.029
Magnetic moment, μB per atom: 1.474
Crystal system: triclinic

***

MnO2 after structural relaxation. Source: the Materials Project database, functional PBE with a Hubbard U.

abc: 2.904 6.164 3.845
angles: 90.00 90.00 90.00
Positions (direct):
Mn: 0.500 0.282 0.500
Mn: 0.000 0.968 0.000
O: 0.500 0.787 0.000
O: 0.000 0.047 0.500
O: 0.000 0.463 0.500
O: 0.500 0.203 0.000

Space-group type: Pmmn (59)
Raw total energy, eV per atom: -6.976
Energy of formation from the pure elements, eV per formula unit: -4.913
Magnetic moment, μB per atom: 1.000
Crystal system: orthorhombic

***

Li5NiHO4 after structural relaxation. Source: the Materials Project database, functional PBE with a Hubbard U.

abc: 8.777 9.034 10.639
angles: 90.00 90.00 90.00
Positions (direct):
Li: 0.889 0.430 0.009
Li: 0.527 0.084 0.699
Li: 0.473 0.916 0.301
Li: 0.929 0.250 0.564
Li: 0.611 0.930 0.509
Li: 0.027 0.084 0.801
Li: 0.705 0.914 0.868
Li: 0.073 0.434 0.428
Li: 0.573 0.066 0.072
Li: 0.611 0.570 0.509
Li: 0.427 0.934 0.928
Li: 0.295 0.086 0.132
Li: 0.205 0.586 0.632
Li: 0.927 0.934 0.572
Li: 0.927 0.566 0.572
Li: 0.973 0.584 0.199
Li: 0.389 0.070 0.491
Li: 0.027 0.416 0.801
Li: 0.429 0.250 0.936
Li: 0.111 0.570 0.991
Li: 0.527 0.416 0.699
Li: 0.878 0.750 0.021
Li: 0.122 0.250 0.979
Li: 0.705 0.586 0.868
Li: 0.295 0.414 0.132
Li: 0.573 0.434 0.072
Li: 0.389 0.430 0.491
Li: 0.622 0.250 0.521
Li: 0.205 0.914 0.632
Li: 0.571 0.750 0.064
Li: 0.073 0.066 0.428
Li: 0.795 0.414 0.368
Li: 0.427 0.566 0.928
Li: 0.889 0.070 0.009
Li: 0.378 0.750 0.479
Li: 0.111 0.930 0.991
Li: 0.795 0.086 0.368
Li: 0.973 0.916 0.199
Li: 0.473 0.584 0.301
Li: 0.071 0.750 0.436
O: 0.076 0.084 0.121
O: 0.579 0.087 0.883
O: 0.742 0.427 0.606
O: 0.580 0.750 0.395
O: 0.258 0.573 0.394
O: 0.421 0.587 0.117
O: 0.924 0.584 0.879
O: 0.742 0.073 0.606
O: 0.076 0.416 0.121
O: 0.421 0.913 0.117
O: 0.920 0.250 0.895
O: 0.576 0.084 0.379
O: 0.924 0.916 0.879
O: 0.053 0.750 0.622
O: 0.921 0.913 0.383
O: 0.758 0.573 0.106
O: 0.080 0.750 0.105
O: 0.258 0.927 0.394
O: 0.947 0.250 0.378
O: 0.424 0.916 0.621
O: 0.079 0.413 0.617
O: 0.553 0.750 0.878
O: 0.424 0.584 0.621
O: 0.079 0.087 0.617
O: 0.242 0.073 0.894
O: 0.576 0.416 0.379
O: 0.579 0.413 0.883
O: 0.447 0.250 0.122
O: 0.921 0.587 0.383
O: 0.420 0.250 0.605
O: 0.758 0.927 0.106
O: 0.242 0.427 0.894
H: 0.207 0.914 0.313
H: 0.793 0.414 0.687
H: 0.793 0.086 0.687
H: 0.707 0.586 0.187
H: 0.293 0.414 0.813
H: 0.207 0.586 0.313
H: 0.707 0.914 0.187
H: 0.293 0.086 0.813
Ni: 0.789 0.750 0.367
Ni: 0.012 0.250 0.211
Ni: 0.488 0.750 0.711
Ni: 0.289 0.750 0.133
Ni: 0.988 0.750 0.789
Ni: 0.711 0.250 0.867
Ni: 0.512 0.250 0.289
Ni: 0.211 0.250 0.633

Space-group type: Pnma (62)
Raw total energy, eV per atom: -4.767
Energy of formation from the pure elements, eV per formula unit: -19.214
Magnetic moment, μB per atom: 0.182
Crystal system: orthorhombic

***

Li9Mn7O16 after structural relaxation. Source: the Materials Project database, functional PBE with a Hubbard U.

abc: 3.014 7.858 12.647
angles: 88.64 89.74 84.01
Positions (direct):
Mn: 0.262 0.996 0.749
Mn: 0.885 0.742 0.620
Mn: 0.000 0.500 0.000
Mn: 0.626 0.251 0.874
Mn: 0.738 0.004 0.251
Mn: 0.374 0.749 0.126
Mn: 0.115 0.258 0.380
O: 0.002 0.564 0.150
O: 0.327 0.913 0.602
O: 0.123 0.184 0.228
O: 0.429 0.588 0.651
O: 0.107 0.302 0.522
O: 0.750 0.936 0.102
O: 0.673 0.087 0.398
O: 0.877 0.816 0.772
O: 0.250 0.064 0.898
O: 0.893 0.698 0.478
O: 0.571 0.412 0.349
O: 0.369 0.816 0.276
O: 0.998 0.436 0.850
O: 0.375 0.686 0.977
O: 0.631 0.184 0.724
O: 0.625 0.314 0.023
Li: 0.433 0.627 0.811
Li: 0.187 0.125 0.062
Li: 0.567 0.373 0.189
Li: 0.657 0.144 0.559
Li: 0.075 0.371 0.678
Li: 0.925 0.629 0.322
Li: 0.500 0.500 0.500
Li: 0.343 0.856 0.441
Li: 0.813 0.875 0.938

Space-group type: P-1 (2)
Raw total energy, eV per atom: -6.435
Energy of formation from the pure elements, eV per formula unit: -68.103
Energy relative to the lowest polymorph listed for this composition, eV per atom: 0.016
Magnetic moment, μB per atom: 0.813
Crystal system: triclinic

***

Q: Among the records above, which one has the lowest raw total energy?
A: MnO2

***

Q: Which value of raw total energy does entry 6 give?
A: -6.435 eV per atom

***

Please write out number 2 again, unchanged.
NaCr2O4 after structural relaxation. Source: the Materials Project database, functional PBE with a Hubbard U.

abc: 6.131 6.131 6.131
angles: 60.00 60.00 60.00
Positions (direct):
Na: 0.500 0.500 0.500
Na: 0.750 0.750 0.750
Cr: 0.125 0.125 0.125
Cr: 0.125 0.625 0.125
Cr: 0.125 0.125 0.625
Cr: 0.625 0.125 0.125
O: 0.896 0.896 0.313
O: 0.354 0.354 0.354
O: 0.313 0.896 0.896
O: 0.937 0.354 0.354
O: 0.896 0.896 0.896
O: 0.354 0.937 0.354
O: 0.896 0.313 0.896
O: 0.354 0.354 0.937

Space-group type: Fd-3m (227)
Raw total energy, eV per atom: -6.940
Energy of formation from the pure elements, eV per formula unit: -14.904
Energy relative to the lowest polymorph listed for this composition, eV per atom: 0.054
Magnetic moment, μB per atom: 0.714
Crystal system: cubic